The following is a DFT calculation (PBE) of a geometry-optimized PrSO structure.

Computed properties:
Crystal system = monoclinic

Cell lengths 6.5626, 6.0456, 5.8667 Å; angles 90.00, 103.09, 90.00 degrees
Space group P2_1/c (No. 14)
Inequivalent atoms, fractional coordinates:
1 Pr 0.1751 0.0038 0.2890 [4 per cell]
2 S 0.4079 0.5648 0.3448 [4 per cell]
3 O 0.0051 0.2483 0.4942 [4 per cell]

---

The following is a DFT calculation (PBE) of a geometry-optimized Pr2SO2 structure.

Computed properties:
Crystal system = trigonal

Cell lengths 4.0205, 4.0205, 6.9013 Å; angles 90.00, 90.00, 120.00 degrees
Space group P-3m1 (No. 164)
Inequivalent atoms, fractional coordinates:
1 Pr 0.3333 0.6667 0.2200 [2 per cell]
2 S 0.0000 0.0000 0.5000 [1 per cell]
3 O 0.3333 0.6667 0.8705 [2 per cell]

---

The following is a DFT calculation (PBE) of a geometry-optimized PrSO structure.

Computed properties:
Crystal system = orthorhombic

Cell lengths 3.9213, 4.6577, 12.6533 Å; angles 90.00, 90.00, 90.00 degrees
Space group Immm (No. 71)
Inequivalent atoms, fractional coordinates:
1 Pr 0.0000 0.0000 0.1633 [4 per cell]
2 S 0.0000 0.2222 0.5000 [4 per cell]
3 O 0.0000 0.5000 0.2332 [4 per cell]

---

The following is a DFT calculation (PBE) of a geometry-optimized Pr2Ti2S2O5 structure.

Computed properties:
Crystal system = tetragonal

Cell lengths 3.8889, 3.8889, 23.4147 Å; angles 90.00, 90.00, 90.00 degrees
Space group I4/mmm (No. 139)
Inequivalent atoms, fractional coordinates:
1 Pr 0.0000 0.0000 0.1657 [4 per cell]
2 Ti 0.0000 0.0000 0.4226 [4 per cell]
3 S 0.0000 0.0000 0.2967 [4 per cell]
4 O 0.0000 0.0000 0.5000 [2 per cell]
5 O 0.0000 0.5000 0.0960 [8 per cell]

---

The following is a DFT calculation (PBE) of a geometry-optimized PrSb2O6 structure.

Computed properties:
Crystal system = orthorhombic

Cell lengths 8.0365, 5.8074, 5.6024 Å; angles 90.00, 90.00, 90.00 degrees
Space group Pmn2_1 (No. 31)
Inequivalent atoms, fractional coordinates:
1 Pr 0.0000 0.1897 0.0000 [2 per cell]
2 Sb 0.2494 0.7374 0.9855 [4 per cell]
3 O 0.0000 0.2646 0.5795 [2 per cell]
4 O 0.0000 0.7734 0.9170 [2 per cell]
5 O 0.1998 0.4514 0.1845 [4 per cell]
6 O 0.2136 0.9813 0.2534 [4 per cell]

---

The following is a DFT calculation (PBE) of a geometry-optimized Pr2SbO2 structure.

Computed properties:
Relative energy among the computed polymorphs = 0.000 eV per formula unit
Crystal system = tetragonal

Cell lengths 4.0312, 4.0312, 13.9562 Å; angles 90.00, 90.00, 90.00 degrees
Space group I4/mmm (No. 139)
Inequivalent atoms, fractional coordinates:
1 Pr 0.0000 0.0000 0.1630 [4 per cell]
2 Sb 0.0000 0.0000 0.5000 [2 per cell]
3 O 0.0000 0.5000 0.2500 [4 per cell]

---

The following is a DFT calculation (PBE) of a geometry-optimized Pr2SbO2 structure.

Computed properties:
Relative energy among the computed polymorphs = 0.078 eV per formula unit
Crystal system = monoclinic

Cell lengths 5.7247, 5.7258, 7.1896 Å; angles 90.00, 111.39, 90.00 degrees
Space group C2/m (No. 12)
Inequivalent atoms, fractional coordinates:
1 Pr 0.1706 0.0000 0.3230 [4 per cell]
2 Sb 0.0000 0.5000 0.0000 [2 per cell]
3 O 0.0000 0.2502 0.5000 [4 per cell]

---

The following is a DFT calculation (PBE) of a geometry-optimized Pr3Sb5O12 structure.

Computed properties:
Crystal system = cubic

Cell lengths 11.2071, 11.2071, 11.2071 Å; angles 90.00, 90.00, 90.00 degrees
Space group I-43m (No. 217)
Inequivalent atoms, fractional coordinates:
1 Pr 0.0000 0.2500 0.5000 [12 per cell]
2 Sb 0.0000 0.0000 0.2812 [12 per cell]
3 Sb 0.2480 0.2480 0.2480 [8 per cell]
4 O 0.0985 0.0985 0.3905 [24 per cell]
5 O 0.1373 0.1373 0.6662 [24 per cell]

---

The following is a DFT calculation (PBE) of a geometry-optimized PrZnSb2O6 structure.

Computed properties:
Crystal system = orthorhombic

Cell lengths 8.1974, 6.3723, 5.6818 Å; angles 90.00, 90.00, 90.00 degrees
Space group Pmn2_1 (No. 31)
Inequivalent atoms, fractional coordinates:
1 Pr 0.0000 0.1582 0.0000 [2 per cell]
2 Zn 0.0000 0.8445 0.4869 [2 per cell]
3 Sb 0.2453 0.7070 0.9840 [4 per cell]
4 O 0.0000 0.2712 0.6038 [2 per cell]
5 O 0.0000 0.7965 0.8236 [2 per cell]
6 O 0.1811 0.9170 0.2708 [4 per cell]
7 O 0.1861 0.4298 0.1316 [4 per cell]

---

The following is a DFT calculation (PBE) of a geometry-optimized PrScO3 structure.

Computed properties:
Crystal system = orthorhombic

Cell lengths 5.8555, 8.1119, 5.6431 Å; angles 90.00, 90.00, 90.00 degrees
Space group Pnma (No. 62)
Inequivalent atoms, fractional coordinates:
1 Pr 0.0546 0.2500 0.0148 [4 per cell]
2 Sc 0.0000 0.0000 0.5000 [4 per cell]
3 O 0.0395 0.7500 0.3934 [4 per cell]
4 O 0.2006 0.5564 0.8001 [8 per cell]

---

The following is a DFT calculation (PBE) of a geometry-optimized Pr2SeO2 structure.

Computed properties:
Crystal system = trigonal

Cell lengths 4.0550, 4.0550, 7.1275 Å; angles 90.00, 90.00, 120.00 degrees
Space group P-3m1 (No. 164)
Inequivalent atoms, fractional coordinates:
1 Pr 0.3333 0.6667 0.2118 [2 per cell]
2 Se 0.0000 0.0000 0.5000 [1 per cell]
3 O 0.3333 0.6667 0.8744 [2 per cell]

---

The following is a DFT calculation (PBE) of a geometry-optimized Pr4Se3O4 structure.

Computed properties:
Largest piezoelectric modulus = 1.075 C/m²
Crystal system = orthorhombic

Cell lengths 8.5423, 4.0726, 13.1634 Å; angles 90.00, 90.00, 90.00 degrees
Space group Amm2 (No. 38)
Inequivalent atoms, fractional coordinates:
1 Pr 0.0000 0.0000 0.0000 [2 per cell]
2 Pr 0.2380 0.0000 0.6820 [4 per cell]
3 Pr 0.5000 0.0000 0.0144 [2 per cell]
4 Se 0.0000 0.0000 0.3130 [2 per cell]
5 Se 0.3512 0.0000 0.3540 [4 per cell]
6 O 0.0000 0.0000 0.5875 [2 per cell]
7 O 0.2443 0.0000 0.0869 [4 per cell]
8 O 0.5000 0.0000 0.6124 [2 per cell]

---

The following is a DFT calculation (PBE) of a geometry-optimized Pr2Se3O9 structure.

Computed properties:
Crystal system = monoclinic

Cell lengths 17.0922, 7.1543, 24.8910 Å; angles 90.00, 120.16, 90.00 degrees
Space group P2_1/c (No. 14)
Inequivalent atoms, fractional coordinates:
1 Pr 0.0489 0.1482 0.4125 [4 per cell]
2 Pr 0.0563 0.1488 0.0891 [4 per cell]
3 Pr 0.0848 0.1719 0.7619 [4 per cell]
4 Pr 0.4026 0.1418 0.8629 [4 per cell]
5 Pr 0.4487 0.1794 0.2133 [4 per cell]
6 Pr 0.4514 0.1671 0.5525 [4 per cell]
7 Se 0.1198 0.6811 0.0537 [4 per cell]
8 Se 0.1220 0.6753 0.7307 [4 per cell]
9 Se 0.1295 0.6675 0.3960 [4 per cell]
10 Se 0.2449 0.1169 0.0492 [4 per cell]
11 Se 0.2477 0.0915 0.7092 [4 per cell]
12 Se 0.2519 0.0791 0.3868 [4 per cell]
13 Se 0.3693 0.6454 0.8005 [4 per cell]
14 Se 0.3773 0.6940 0.1378 [4 per cell]
15 Se 0.3813 0.6781 0.4843 [4 per cell]
16 O 0.0255 0.6697 0.5328 [4 per cell]
17 O 0.0318 0.6886 0.8577 [4 per cell]
18 O 0.0433 0.6415 0.2080 [4 per cell]
19 O 0.0552 0.5109 0.7400 [4 per cell]
20 O 0.0793 0.0092 0.9171 [4 per cell]
21 O 0.0815 0.0064 0.5776 [4 per cell]
22 O 0.0933 0.6400 0.9785 [4 per cell]
23 O 0.1047 0.6349 0.6570 [4 per cell]
24 O 0.1414 0.5797 0.3378 [4 per cell]
25 O 0.1496 0.1700 0.3724 [4 per cell]
26 O 0.1532 0.2254 0.6933 [4 per cell]
27 O 0.1899 0.1881 0.5085 [4 per cell]
28 O 0.2025 0.0896 0.0986 [4 per cell]
29 O 0.2502 0.1806 0.3235 [4 per cell]
30 O 0.2617 0.5232 0.2743 [4 per cell]
31 O 0.3351 0.2148 0.4447 [4 per cell]
32 O 0.3380 0.2453 0.7467 [4 per cell]
33 O 0.3542 0.2016 0.1001 [4 per cell]
34 O 0.3800 0.5948 0.0772 [4 per cell]
35 O 0.3825 0.6145 0.4182 [4 per cell]
36 O 0.4043 0.6038 0.7475 [4 per cell]
37 O 0.4153 0.5226 0.1958 [4 per cell]
38 O 0.4264 0.0152 0.3605 [4 per cell]
39 O 0.4422 0.5115 0.5402 [4 per cell]
40 O 0.4492 0.6739 0.3384 [4 per cell]
41 O 0.4665 0.6521 0.0097 [4 per cell]
42 O 0.4761 0.6647 0.6735 [4 per cell]

---

no.,density (Mg/m³),energy of formation from the pure elements (eV/atom)
1,5.536,-2.823
2,5.945,-3.421
3,5.431,-2.872
4,4.893,-3.262
5,6.102,-2.298
6,6.378,-2.844
7,6.592,-2.828
8,5.774,-2.592
9,6.108,-2.125
10,5.795,-3.881
11,6.426,-3.255
12,6.270,-2.981
13,5.018,-2.290